Run a
## LiFe5O4F8 (PBE+U)

Data for LiFe5O4F8 after structural relaxation.

a = 9.649 Å, b = 8.736 Å, c = 5.658 Å
α = 81.14°, β = 63.45°, γ = 35.41°
Fractional coordinates of all 18 atoms:
Li 0.500 0.500 0.500
Fe 0.161 0.161 0.839
Fe 0.839 0.839 0.161
Fe 0.250 0.250 0.250
Fe 0.909 0.909 0.591
Fe 0.591 0.591 0.909
O 0.973 0.361 0.630
O 0.361 0.973 0.035
O 0.035 0.630 0.361
O 0.630 0.035 0.973
F 0.472 0.028 0.472
F 0.028 0.472 0.028
F 0.137 0.699 0.780
F 0.699 0.137 0.385
F 0.722 0.278 0.722
F 0.385 0.780 0.699
F 0.278 0.722 0.278
F 0.780 0.385 0.137

## Properties
V: 12.6 A^3/atom
SG: F222
Total moment: 1.389 μB/atom

Run b
## LiFe5O4F8 (PBE+U)

Data for LiFe5O4F8 after structural relaxation.

a = 4.708 Å, b = 4.708 Å, c = 9.182 Å
α = 90.00°, β = 90.00°, γ = 93.14°
Fractional coordinates of all 18 atoms:
Li 0.000 0.000 0.000
Fe 0.000 0.000 0.323
Fe 0.000 0.000 0.677
Fe 0.500 0.500 0.500
Fe 0.500 0.500 0.822
Fe 0.500 0.500 0.178
O 0.299 0.299 0.333
O 0.299 0.299 0.667
O 0.701 0.701 0.333
O 0.701 0.701 0.667
F 0.191 0.809 0.500
F 0.200 0.800 0.837
F 0.200 0.800 0.163
F 0.308 0.308 0.000
F 0.692 0.692 0.000
F 0.800 0.200 0.163
F 0.800 0.200 0.837
F 0.809 0.191 0.500

## Properties
V: 11.3 A^3/atom
SG: Cmmm

Which is most stable, and by how much? run b, by 30 meV/atom.

Run a
## Li2FePO4F (PBE+U)

Data for Li2FePO4F after structural relaxation.

a = 6.508 Å, b = 10.662 Å, c = 11.085 Å
α = 90.00°, β = 90.00°, γ = 90.00°
Fractional coordinates of all 72 atoms:
Li 0.750 0.026 0.272
Li 0.250 0.230 0.083
Li 0.510 0.241 0.334
Li 0.990 0.241 0.334
Li 0.010 0.259 0.834
Li 0.490 0.259 0.834
Li 0.750 0.270 0.583
Li 0.250 0.474 0.772
Li 0.750 0.526 0.228
Li 0.250 0.730 0.417
Li 0.510 0.741 0.166
Li 0.990 0.741 0.166
Li 0.010 0.759 0.666
Li 0.490 0.759 0.666
Li 0.750 0.770 0.917
Li 0.250 0.974 0.728
Fe 0.000 0.000 0.000
Fe 0.500 0.000 0.000
Fe 0.000 0.000 0.500
Fe 0.500 0.000 0.500
Fe 0.000 0.500 0.500
Fe 0.500 0.500 0.500
Fe 0.000 0.500 0.000
Fe 0.500 0.500 0.000
P 0.750 0.022 0.745
P 0.750 0.244 0.080
P 0.250 0.256 0.580
P 0.250 0.478 0.245
P 0.750 0.522 0.755
P 0.750 0.744 0.420
P 0.250 0.756 0.920
P 0.250 0.978 0.255
O 0.250 0.029 0.123
O 0.056 0.033 0.319
O 0.444 0.033 0.319
O 0.250 0.112 0.558
O 0.750 0.168 0.744
O 0.554 0.190 0.017
O 0.946 0.190 0.017
O 0.750 0.216 0.216
O 0.250 0.284 0.716
O 0.054 0.310 0.517
O 0.446 0.310 0.517
O 0.250 0.332 0.244
O 0.750 0.388 0.058
O 0.556 0.467 0.819
O 0.944 0.467 0.819
O 0.750 0.471 0.623
O 0.250 0.529 0.377
O 0.056 0.533 0.181
O 0.444 0.533 0.181
O 0.250 0.612 0.942
O 0.750 0.668 0.756
O 0.554 0.690 0.483
O 0.946 0.690 0.483
O 0.750 0.716 0.284
O 0.250 0.784 0.784
O 0.054 0.810 0.983
O 0.446 0.810 0.983
O 0.250 0.832 0.256
O 0.750 0.888 0.442
O 0.556 0.967 0.681
O 0.944 0.967 0.681
O 0.750 0.971 0.877
F 0.250 0.054 0.879
F 0.750 0.134 0.467
F 0.250 0.366 0.967
F 0.750 0.446 0.379
F 0.250 0.554 0.621
F 0.750 0.634 0.033
F 0.250 0.866 0.533
F 0.750 0.946 0.121

## Properties
V: 10.7 A^3/atom
SG: Pnma
Total moment: 0.000 μB/atom

Run b
## Li2FePO4F (PBE+U)

Data for Li2FePO4F after structural relaxation.

a = 5.372 Å, b = 5.426 Å, c = 7.510 Å
α = 107.06°, β = 107.92°, γ = 94.82°
Fractional coordinates of all 18 atoms:
Li 0.234 0.582 0.152
Li 0.465 0.131 0.850
Li 0.499 0.994 0.480
Li 0.804 0.447 0.827
Fe 0.999 0.002 0.008
Fe 0.984 0.987 0.492
P 0.659 0.370 0.241
P 0.337 0.625 0.767
O 0.260 0.787 0.626
O 0.738 0.225 0.392
O 0.332 0.329 0.664
O 0.148 0.651 0.891
O 0.840 0.344 0.110
O 0.367 0.248 0.088
O 0.655 0.662 0.344
O 0.630 0.748 0.907
F 0.817 0.088 0.730
F 0.160 0.911 0.273

## Properties
V: 10.9 A^3/atom
SG: P1
Total moment: 0.444 μB/atom

Run c
## Li2FePO4F (PBE+U)

Data for Li2FePO4F after structural relaxation.

a = 5.374 Å, b = 10.892 Å, c = 7.535 Å
α = 72.27°, β = 71.54°, γ = 95.00°
Fractional coordinates of all 36 atoms:
Li 0.842 0.227 0.118
Li 0.842 0.727 0.118
Li 0.485 0.417 0.862
Li 0.484 0.917 0.863
Li 0.510 0.029 0.478
Li 0.510 0.529 0.479
Li 0.228 0.276 0.705
Li 0.228 0.776 0.706
Fe 0.992 0.001 0.018
Fe 0.007 0.000 0.504
Fe 0.992 0.501 0.018
Fe 0.007 0.501 0.503
P 0.340 0.313 0.261
P 0.340 0.813 0.261
P 0.656 0.183 0.769
P 0.655 0.683 0.769
O 0.721 0.099 0.633
O 0.720 0.599 0.633
O 0.278 0.382 0.418
O 0.278 0.882 0.418
O 0.673 0.332 0.656
O 0.673 0.832 0.656
O 0.855 0.173 0.882
O 0.855 0.673 0.882
O 0.149 0.334 0.141
O 0.148 0.834 0.142
O 0.630 0.372 0.099
O 0.629 0.872 0.099
O 0.325 0.165 0.369
O 0.325 0.665 0.369
O 0.358 0.130 0.908
O 0.358 0.631 0.908
F 0.180 0.445 0.747
F 0.180 0.945 0.747
F 0.847 0.054 0.274
F 0.846 0.554 0.274

## Properties
V: 10.8 A^3/atom
Total moment: 0.000 μB/atom

Run d
## Li2FePO4F (PBE+U)

Data for Li2FePO4F after structural relaxation.

a = 5.124 Å, b = 13.094 Å, c = 13.102 Å
α = 60.91°, β = 90.00°, γ = 90.00°
Fractional coordinates of all 72 atoms:
Li 0.734 0.348 0.827
Li 0.730 0.578 0.597
Li 0.230 0.422 0.903
Li 0.723 0.851 0.324
Li 0.234 0.652 0.673
Li 0.274 0.921 0.171
Li 0.774 0.079 0.329
Li 0.777 0.851 0.824
Li 0.223 0.149 0.176
Li 0.226 0.921 0.671
Li 0.726 0.079 0.829
Li 0.766 0.348 0.327
Li 0.277 0.149 0.676
Li 0.770 0.578 0.097
Li 0.270 0.422 0.403
Li 0.266 0.652 0.173
Fe 0.275 0.422 0.673
Fe 0.775 0.578 0.827
Fe 0.228 0.924 0.403
Fe 0.728 0.076 0.097
Fe 0.272 0.924 0.903
Fe 0.772 0.076 0.597
Fe 0.225 0.422 0.173
Fe 0.725 0.578 0.327
P 0.217 0.166 0.919
P 0.214 0.667 0.418
P 0.286 0.667 0.918
P 0.717 0.834 0.581
P 0.283 0.166 0.419
P 0.714 0.333 0.082
P 0.786 0.333 0.582
P 0.783 0.834 0.081
O 0.911 0.156 0.925
O 0.668 0.395 0.648
O 0.301 0.295 0.853
O 0.908 0.661 0.413
O 0.307 0.604 0.546
O 0.807 0.396 0.954
O 0.311 0.795 0.358
O 0.671 0.898 0.146
O 0.801 0.705 0.647
O 0.168 0.605 0.852
O 0.592 0.661 0.913
O 0.829 0.892 0.455
O 0.411 0.844 0.575
O 0.329 0.108 0.045
O 0.189 0.795 0.858
O 0.829 0.898 0.646
O 0.171 0.102 0.354
O 0.811 0.205 0.142
O 0.671 0.892 0.955
O 0.589 0.156 0.425
O 0.171 0.108 0.545
O 0.408 0.339 0.087
O 0.832 0.395 0.148
O 0.199 0.295 0.353
O 0.329 0.102 0.854
O 0.689 0.205 0.642
O 0.193 0.604 0.046
O 0.693 0.396 0.454
O 0.092 0.339 0.587
O 0.699 0.705 0.147
O 0.332 0.605 0.352
O 0.089 0.844 0.075
F 0.987 0.489 0.736
F 0.487 0.511 0.764
F 0.020 0.990 0.232
F 0.520 0.010 0.268
F 0.480 0.990 0.732
F 0.980 0.010 0.768
F 0.513 0.489 0.236
F 0.013 0.511 0.264

## Properties
V: 10.7 A^3/atom
SG: P2_1/c
Total moment: 0.444 μB/atom

Which is most stable, and by how much? run d, by 9 meV/atom.